Record 1
An optimized crystal structure of Ta2Be17, computed with PBE.

As for the space-group type: R-3m, No. 166. As for the calculated volume: 168 Å³/cell. For the raw total energy, the calculation gives -90.8 eV per cell.

abc: 5.556 5.556 5.556
angles: 82.89 82.89 82.89
Fractional coordinates of all 19 atoms:
Ta1 0.841 0.841 0.841
Ta2 0.159 0.159 0.159
Be1 0.599 0.599 0.599
Be2 0.401 0.401 0.401
Be3 0.500 0.500 0.000
Be4 0.000 0.500 0.500
Be5 0.500 0.000 0.500
Be6 0.205 0.500 0.795
Be7 0.795 0.205 0.500
Be8 0.500 0.795 0.205
Be9 0.795 0.500 0.205
Be10 0.205 0.795 0.500
Be11 0.500 0.205 0.795
Be12 0.847 0.338 0.847
Be13 0.847 0.847 0.338
Be14 0.338 0.847 0.847
Be15 0.153 0.662 0.153
Be16 0.153 0.153 0.662
Be17 0.662 0.153 0.153

---

Record 2
An optimized crystal structure of TbBe13, computed with PBE.

As for the space-group type: Fm-3c, No. 226. As for the calculated volume: 265 Å³/cell. For the raw total energy, the calculation gives -111.7 eV per cell.

abc: 7.208 7.208 7.208
angles: 60.00 60.00 60.00
Fractional coordinates of all 28 atoms:
Tb1 0.250 0.250 0.250
Tb2 0.750 0.750 0.750
Be1 0.500 0.500 0.500
Be2 0.000 0.000 0.000
Be3 0.210 0.790 0.563
Be4 0.063 0.290 0.710
Be5 0.710 0.937 0.063
Be6 0.063 0.937 0.290
Be7 0.937 0.063 0.710
Be8 0.937 0.290 0.063
Be9 0.710 0.063 0.290
Be10 0.563 0.790 0.437
Be11 0.437 0.790 0.210
Be12 0.790 0.437 0.563
Be13 0.437 0.210 0.563
Be14 0.790 0.563 0.210
Be15 0.563 0.210 0.790
Be16 0.210 0.437 0.790
Be17 0.210 0.563 0.437
Be18 0.710 0.290 0.937
Be19 0.290 0.063 0.937
Be20 0.290 0.937 0.710
Be21 0.063 0.710 0.937
Be22 0.937 0.710 0.290
Be23 0.290 0.710 0.063
Be24 0.563 0.437 0.210
Be25 0.790 0.210 0.437
Be26 0.437 0.563 0.790

---

Record 3
An optimized crystal structure of TiBe3, computed with PBE.

As for the space-group type: R-3m, No. 166. As for the calculated volume: 123 Å³/cell. For the raw total energy, the calculation gives -59.8 eV per cell.

abc: 7.533 7.533 7.533
angles: 34.63 34.63 34.63
Fractional coordinates of all 12 atoms:
Ti1 0.858 0.858 0.858
Ti2 0.142 0.142 0.142
Ti3 0.000 0.000 0.000
Be1 0.418 0.921 0.418
Be2 0.418 0.418 0.921
Be3 0.921 0.418 0.418
Be4 0.582 0.079 0.582
Be5 0.582 0.582 0.079
Be6 0.079 0.582 0.582
Be7 0.666 0.666 0.666
Be8 0.334 0.334 0.334
Be9 0.500 0.500 0.500

---

no.,DFT formation energy (eV per atom)
1,-0.182
2,-0.185
3,-0.205